BaGdCo2O6 | PBE with a Hubbard U | relaxed

It has space group P4/mmm (No. 123), with a = 3.8601 Å, b = 3.8601 Å, c = 7.6031 Å, α = 90.00°, β = 90.00° and γ = 90.00°. The inequivalent atoms are Ba at (0.0000, 0.0000, 0.0000), Gd at (0.0000, 0.0000, 0.5000), Co at (0.5000, 0.5000, 0.2505), O at (0.0000, 0.5000, 0.2822), O at (0.5000, 0.5000, 0.0000) and O at (0.5000, 0.5000, 0.5000).

For the formation energy, the calculation gives -2166 meV per atom.